Here is a geometry-optimized NbMo6S8 structure from the Materials Project database. Energies are from PBE-GGA.

Output
Size of the total moment, μB/f.u.: 1.002
E (MP2020), eV per atom: -8.100
E_tot, eV for the cell shown: -117.48
Space group: R-3, No. 148
Formation enthalpy at 0 K, eV/atom: -0.88

Cell lengths 6.385, 6.385, 6.385 Å; angles 90.03, 90.03, 90.03 degrees
Fractional coordinates of all 15 atoms:
S1 0.645 0.869 0.239
S2 0.869 0.239 0.645
S3 0.770 0.770 0.770
S4 0.230 0.230 0.230
S5 0.355 0.131 0.761
S6 0.239 0.645 0.869
S7 0.761 0.355 0.131
S8 0.131 0.761 0.355
Mo1 0.556 0.216 0.421
Mo2 0.216 0.421 0.556
Mo3 0.579 0.444 0.784
Mo4 0.784 0.579 0.444
Mo5 0.421 0.556 0.216
Mo6 0.444 0.784 0.579
Nb1 0.000 0.000 0.000